Record 1
A plane-wave DFT calculation with r²SCAN was carried out for a relaxed Yb5Mg crystal.

```
Yb5Mg
1.0
1.758 -8.958 0.000
1.758 8.958 0.000
0.000 0.000 5.493
Yb Mg
5 1
direct
0.000 0.000 0.000 Yb
0.330 0.670 0.000 Yb
0.666 0.334 0.000 Yb
0.447 0.553 0.500 Yb
0.114 0.886 0.500 Yb
0.777 0.223 0.500 Mg
```

ΔE to the lowest computed polymorph	0.0171	eV/atom
space group	Amm2 (38)
calculated formation energy	0.00	eV per formula unit
VASP energy	-31.136	eV/atom


Record 2
A plane-wave DFT calculation with r²SCAN was carried out for a relaxed TaSiNi crystal.

```
TaSiNi
1.0
-1.181 3.387 0.774
-5.853 -1.904 -0.598
-0.170 -1.620 6.824
Ta Si Ni
4 4 4
direct
0.250 0.517 0.177 Ta
0.750 0.483 0.823 Ta
0.750 0.983 0.677 Ta
0.250 0.017 0.323 Ta
0.250 0.782 0.885 Si
0.750 0.218 0.115 Si
0.750 0.718 0.385 Si
0.250 0.282 0.615 Si
0.250 0.655 0.570 Ni
0.750 0.345 0.430 Ni
0.750 0.845 0.070 Ni
0.250 0.155 0.930 Ni
```

space group	Pnma (62)
calculated formation energy	-2.11	eV per formula unit
VASP energy	-23.818	eV/atom